Record 1
Density functional theory data (meta-GGA r2SCAN) for an optimized crystal structure of CoPt3O6.

The structure in POSCAR format:
```
CoPt3O6
1.0
-6.390 0.000 0.000
-3.196 -5.752 8.096
0.000 5.753 4.087
Co O Pt
4 24 12
Cartesian
-3.195 2.877 8.135
-6.391 -2.875 10.139
-6.390 2.877 8.135
-3.196 -2.875 10.139
-1.598 -2.034 2.863
-3.196 0.505 7.997
-3.196 -1.965 6.243
-4.793 -2.034 8.955
-6.391 -0.503 10.277
-3.196 -3.786 7.945
-6.390 -0.504 4.186
-3.195 -0.504 4.186
-7.988 -2.034 8.955
-3.195 0.504 1.906
-3.195 3.788 4.238
-6.391 -1.965 6.243
-1.598 2.035 3.228
-4.793 2.035 3.228
-3.196 -0.503 10.277
-6.390 1.966 5.940
-6.390 0.504 1.906
-6.391 0.505 7.997
-3.195 1.966 5.940
-4.793 2.036 9.319
-7.988 2.036 9.319
-6.390 3.787 4.238
-6.391 -3.786 7.945
-4.793 -2.034 2.864
-1.598 2.877 5.089
-4.793 0.001 9.138
-7.988 -2.876 7.094
-3.195 0.000 0.000
-4.792 0.000 3.045
-6.390 0.000 6.092
0.000 0.000 0.000
-4.793 -2.876 7.094
-4.792 2.877 5.089
-3.195 0.001 6.092
-7.988 0.001 9.138
-1.598 0.001 3.045
```

Density in g cm⁻³: 10.98


Record 2
Density functional theory data (meta-GGA r2SCAN) for an optimized crystal structure of Rb5Co2O4.

The structure in POSCAR format:
```
Rb5Co2O4
1.0
6.972 0.000 0.000
2.961 8.740 0.000
0.044 4.793 8.278
Rb Co O
10 4 8
Cartesian
1.175 2.545 1.829
2.383 5.973 1.834
4.719 12.995 8.089
3.731 6.159 5.243
5.136 10.232 5.085
4.842 3.301 3.193
6.246 7.373 3.035
5.259 0.538 0.189
7.595 7.560 6.444
8.803 10.988 6.449
0.744 4.591 4.776
4.007 8.317 8.033
5.971 5.216 0.246
9.233 8.942 3.503
3.698 8.480 2.594
2.237 4.111 3.974
2.984 6.891 7.908
4.184 10.164 7.882
5.793 3.368 0.396
6.994 6.641 0.371
7.741 9.422 4.304
6.279 5.053 5.684
```

SG: P-1
Density in g cm⁻³: 4.01


Record 3
Density functional theory data (meta-GGA r2SCAN) for an optimized crystal structure of Rb2Co2O3.

The structure in POSCAR format:
```
Rb2Co2O3
1.0
11.821 0.000 0.000
0.000 6.058 0.000
0.000 0.000 7.698
Rb Co O
8 8 12
Cartesian
0.705 1.514 0.964
1.443 4.543 3.788
4.468 1.514 7.637
5.206 4.543 4.813
6.616 1.514 2.885
7.353 4.543 0.061
10.379 1.514 3.911
11.116 4.543 6.734
1.842 1.514 5.536
2.771 4.543 7.107
3.140 1.514 3.258
4.069 4.543 1.687
7.753 1.514 6.011
8.682 4.543 4.441
9.050 1.514 0.592
9.979 4.543 2.162
1.375 1.514 3.704
1.817 3.073 6.440
1.817 6.014 6.440
4.094 0.044 2.591
4.094 2.985 2.591
4.536 4.543 7.553
7.286 1.514 0.145
7.727 3.073 5.108
7.727 6.014 5.108
10.005 0.044 1.259
10.005 2.985 1.259
10.446 4.543 3.994
```

SG: Pnma
Density in g cm⁻³: 4.06


Record 4
Density functional theory data (meta-GGA r2SCAN) for an optimized crystal structure of Rb3CoO2.

The structure in POSCAR format:
```
Rb3CoO2
1.0
12.319 0.000 0.000
0.000 7.670 0.000
0.000 0.000 6.184
Rb Co O
12 4 8
Cartesian
1.240 1.917 1.357
1.695 0.007 4.219
1.695 3.828 4.219
4.464 3.841 1.127
4.464 7.663 1.127
4.919 5.752 4.449
7.399 1.917 1.735
7.855 0.007 5.057
7.855 3.828 5.057
10.623 3.841 1.965
10.623 7.663 1.965
11.079 5.752 4.827
1.460 5.752 1.197
4.699 1.917 4.289
7.619 5.752 1.894
10.859 1.917 4.986
0.357 5.752 2.554
2.641 5.752 6.086
3.518 1.917 2.994
5.802 1.917 5.646
6.516 5.752 0.538
8.801 5.752 3.190
9.678 1.917 0.098
11.962 1.917 3.630
```

SG: Pnma
Density in g cm⁻³: 3.95


Record 5
Density functional theory data (meta-GGA r2SCAN) for an optimized crystal structure of CoRh2O4.

The structure in POSCAR format:
```
CoRh2O4
1.0
0.000 4.252 4.252
4.252 0.000 4.252
4.252 4.252 0.000
Co Rh O
2 4 8
Cartesian
1.063 1.063 1.063
7.441 7.441 7.441
4.252 2.126 2.126
2.126 4.252 2.126
2.126 2.126 4.252
4.252 4.252 4.252
2.201 2.201 2.201
4.176 4.176 2.201
4.176 2.201 4.176
6.302 4.327 4.327
2.201 4.176 4.176
4.327 6.302 4.327
4.327 4.327 6.302
6.302 6.302 6.302
```

SG: Fd-3m
Density in g cm⁻³: 7.10


Record 6
Density functional theory data (meta-GGA r2SCAN) for an optimized crystal structure of Tb2CoTe2S2O14.

The structure in POSCAR format:
```
Tb2CoTe2S2O14
1.0
5.251 0.000 0.000
0.584 7.785 0.000
2.383 3.355 6.934
Tb Co Te S O
2 1 2 2 14
Cartesian
0.598 2.016 0.120
7.620 9.124 6.814
1.192 1.678 3.467
4.560 7.879 4.561
3.658 3.261 2.373
2.284 6.712 1.746
5.934 4.428 5.188
1.491 5.476 1.797
2.172 7.477 2.992
1.699 7.485 0.606
3.780 7.368 6.199
3.469 9.434 4.618
2.154 2.338 1.730
4.518 4.728 5.430
3.700 6.412 1.504
6.064 8.802 5.204
4.749 1.706 2.316
4.438 3.772 0.735
6.519 3.655 6.328
6.046 3.663 3.942
6.727 5.665 5.137
```

SG: P-1
Density in g cm⁻³: 5.39


Record 7
Density functional theory data (meta-GGA r2SCAN) for an optimized crystal structure of Co5SbO8.

The structure in POSCAR format:
```
Co5SbO8
1.0
2.939 1.697 5.024
-2.939 1.697 5.024
0.000 -3.394 5.024
Co Sb O
5 1 8
Cartesian
-1.469 -0.848 5.024
0.000 0.000 2.059
-1.469 0.848 10.047
0.000 1.697 5.024
0.000 0.000 13.012
0.000 0.000 7.535
0.000 0.000 3.959
0.000 -1.585 6.323
-1.373 0.793 6.323
-1.373 -0.793 8.748
1.373 0.793 6.323
1.373 -0.793 8.748
0.000 1.585 8.748
0.000 0.000 11.111
```

Energy above the most stable polymorph in this dataset in meV per atom: 0.0
SG: R-3m
Density in g cm⁻³: 6.01


Record 8
Density functional theory data (meta-GGA r2SCAN) for an optimized crystal structure of Co5SbO8.

The structure in POSCAR format:
```
Co5SbO8
1.0
5.426 -0.142 1.809
1.516 9.611 -3.792
1.624 3.706 4.467
Co Sb O
10 2 16
Cartesian
3.308 9.026 -0.158
5.258 4.150 2.642
4.819 5.611 -0.439
1.347 0.877 0.551
7.219 12.297 1.933
2.545 4.220 1.737
6.021 8.955 0.748
3.747 7.562 2.924
3.525 1.782 3.138
1.570 6.659 0.337
2.495 7.173 -2.391
6.071 6.002 4.876
2.383 9.111 -1.898
6.977 8.445 2.364
5.065 9.464 -0.869
4.233 8.940 1.584
4.333 4.235 0.901
5.230 1.959 2.209
2.366 6.415 2.101
5.290 6.340 3.075
6.199 6.760 0.383
3.276 6.835 -0.591
1.589 4.730 0.120
2.727 2.024 1.375
6.183 4.063 4.383
5.839 11.151 1.109
3.336 11.216 0.276
3.501 3.711 3.353
```

Energy above the most stable polymorph in this dataset in meV per atom: 67.3
Density in g cm⁻³: 6.17


Number 1: energy relative to the elements -0.766 eV per atom. Number 2: energy relative to the elements -1.240 eV per atom. Number 3: energy relative to the elements -1.252 eV per atom. Number 4: energy relative to the elements -1.172 eV per atom. Number 5: energy relative to the elements -1.026 eV per atom. Number 6: energy relative to the elements -2.069 eV per atom. Number 7: energy relative to the elements -1.336 eV per atom. Number 8: energy relative to the elements -1.269 eV per atom.